40
Lattice="8.517 0.000 0.000 3.970 7.781 0.000 4.006 2.522 7.357" Properties=species:S:1:pos:R:3 comment="Li4TiMn3Cr2P6O24, optimized geometry, DFT PBE with a Hubbard U" energy_ev_per_atom=-7.31 ef_ev_per_atom=-2.6041 pbc="T T T"
Li 0.000 0.000 0.000
Li 6.341 8.032 3.633
Li 5.022 3.945 3.138
Li 10.841 6.468 5.829
Ti 7.928 6.893 7.290
Mn 4.762 4.929 5.880
Mn 8.958 7.523 2.140
Mn 8.254 1.847 3.613
Cr 6.544 5.966 1.042
Cr 10.706 3.371 4.771
P 2.283 1.752 1.435
P 9.023 9.237 5.087
P 7.704 5.119 4.343
P 6.541 2.395 0.642
P 13.377 8.226 6.550
P 12.116 6.228 2.841
O 1.183 1.573 0.387
O 4.159 2.745 5.305
O 4.517 5.551 1.688
O 3.256 2.916 0.944
O 6.901 8.137 1.602
O 8.994 8.540 6.522
O 6.300 4.532 4.536
O 8.334 8.398 4.021
O 8.021 6.047 5.612
O 7.650 5.968 3.063
O 5.885 3.850 0.361
O 6.509 1.756 4.774
O 5.502 1.335 0.927
O 8.791 4.030 4.318
O 8.476 6.266 0.316
O 7.517 2.613 1.786
O 11.183 4.602 6.592
O 10.723 6.494 2.313
O 13.642 9.231 5.413
O 12.716 6.938 6.043
O 12.851 7.507 3.254
O 12.064 5.116 3.941
O 10.336 2.189 2.847
O 14.825 7.838 7.103

---

28
Lattice="5.446 -3.063 0.000 5.446 3.063 0.000 -0.510 0.000 9.731" Properties=species:S:1:pos:R:3 comment="Li4Mn3Cr2Sb3O16, optimized geometry, DFT PBE with a Hubbard U" energy_ev_per_atom=-6.60 ef_ev_per_atom=-2.1044 pbc="T T T"
Li 0.000 0.000 0.000
Li -0.188 0.000 5.063
Li 3.321 0.000 6.044
Li 7.268 0.000 0.981
Mn 1.622 0.000 2.835
Mn 5.879 1.494 7.728
Mn 5.879 -1.494 7.728
Cr 3.456 0.000 0.093
Cr 6.782 0.000 5.145
Sb 4.320 1.514 2.813
Sb 4.320 -1.514 2.813
Sb 8.551 0.000 7.674
O 2.786 1.392 1.566
O 3.888 1.571 8.816
O 1.236 0.000 8.841
O 5.943 1.540 3.963
O 3.498 0.000 3.921
O 5.108 0.000 1.631
O 2.786 -1.392 1.566
O 5.305 0.000 6.418
O 7.730 1.314 6.354
O 3.888 -1.571 8.816
O 6.830 0.000 8.750
O 5.943 -1.540 3.963
O 8.929 0.000 3.871
O 7.730 -1.314 6.354
O 10.626 0.000 1.816
O 10.384 0.000 6.836

---

28
Lattice="5.231 -3.088 0.000 5.231 3.088 0.000 -0.036 0.000 9.653" Properties=species:S:1:pos:R:3 comment="Li4Mn3Cr2Sn3O16, optimized geometry, DFT PBE with a Hubbard U" energy_ev_per_atom=-6.62 ef_ev_per_atom=-2.1320 pbc="T T T"
Li 0.000 0.000 0.000
Li 0.033 0.000 4.903
Li 3.642 0.000 0.992
Li 7.196 0.000 5.928
Mn 4.493 1.502 7.581
Mn 4.493 -1.502 7.581
Mn 8.855 0.000 2.772
Cr 3.735 0.000 5.003
Cr 7.144 0.000 0.097
Sn 1.902 0.000 7.617
Sn 6.283 1.525 2.757
Sn 6.283 -1.525 2.757
O 0.055 0.000 1.805
O 0.052 0.000 6.692
O 2.949 1.361 6.371
O 1.877 0.000 3.904
O 4.560 1.549 3.912
O 6.141 1.579 8.694
O 3.699 0.000 8.644
O 5.219 0.000 6.370
O 2.949 -1.361 6.371
O 5.569 0.000 1.491
O 7.885 1.366 1.442
O 4.560 -1.549 3.912
O 7.250 0.000 3.857
O 8.800 0.000 8.633
O 6.141 -1.579 8.694
O 7.885 -1.366 1.442

---

28
Lattice="5.129 -2.997 0.000 5.129 2.997 0.000 -0.115 0.000 9.712" Properties=species:S:1:pos:R:3 comment="Li4Mn3Cr3Sn2O16, optimized geometry, DFT PBE with a Hubbard U" energy_ev_per_atom=-6.83 ef_ev_per_atom=-2.2086 pbc="T T T"
Li 0.000 0.000 0.000
Li -0.031 0.000 4.860
Li 3.463 0.000 1.016
Li 6.840 0.000 5.846
Mn 4.204 1.465 7.569
Mn 4.204 -1.465 7.569
Mn 8.520 0.000 2.713
Cr 1.673 0.000 7.570
Cr 5.996 1.476 2.717
Cr 5.996 -1.476 2.717
Sn 3.391 0.000 4.870
Sn 6.844 0.000 0.036
O 2.630 1.344 6.406
O 4.269 1.580 3.815
O 1.618 0.000 3.854
O 5.847 1.561 8.679
O 3.399 0.000 8.590
O 2.630 -1.344 6.406
O 4.941 0.000 6.325
O 5.322 0.000 1.515
O 7.651 1.332 1.554
O 6.888 0.000 3.735
O 4.269 -1.580 3.815
O 8.499 0.000 8.672
O 5.847 -1.561 8.679
O 7.651 -1.332 1.554
O 10.150 0.000 6.672
O 10.218 0.000 1.800